(1)
Li2Fe5Si4O14: relaxed, PBE+U.

a = 5.5442 Å, b = 7.5673 Å, c = 8.1119 Å
α = 114.83°, β = 91.55°, γ = 104.39°
Last column: nearest neighbours and their distance in Å.
Fractional positions:
Li 0.2305 0.1008 0.4552  2 O 1.99-2.20
Li 0.7695 0.8992 0.5448  2 O 1.99-2.20
Fe 0.0744 0.3877 0.8102  4 O 1.98-2.06
Fe 0.9256 0.6123 0.1898  4 O 1.98-2.06
Fe 0.0000 0.0000 0.0000  4 O 2.02-2.07
Fe 0.6363 0.5831 0.7047  5 O 2.07-2.17
Fe 0.3637 0.4169 0.2953  5 O 2.07-2.17
Si 0.4996 0.2234 0.8626  4 O 1.64-1.67
Si 0.5004 0.7766 0.1374  4 O 1.64-1.67
Si 0.7895 0.2102 0.3917  4 O 1.63-1.68
Si 0.2105 0.7898 0.6083  4 O 1.63-1.68
O 0.8842 0.1803 0.5685  1 Si 1.64
O 0.1158 0.8197 0.4315  1 Si 1.64
O 0.7925 0.3390 0.9607  1 Si 1.64
O 0.2075 0.6610 0.0393  1 Si 1.64
O 0.5275 0.0189 0.2771  2 Si 1.67-1.68
O 0.4725 0.9811 0.7229  2 Si 1.67-1.68
O 0.4075 0.3258 0.7365  1 Si 1.66
O 0.5924 0.6742 0.2635  1 Si 1.66
O 0.0221 0.1864 0.2685  1 Si 1.65
O 0.9779 0.8136 0.7315  1 Si 1.65
O 0.6963 0.4124 0.4390  1 Si 1.63
O 0.3037 0.5876 0.5610  1 Si 1.63
O 0.3130 0.2273 0.0172  1 Si 1.64
O 0.6870 0.7727 0.9828  1 Si 1.64

Computed properties:
Energy above the lowest structure with this stoichiometry = 0.0 kJ per mole of atoms
E_form = -2470 meV/atom
Total energy = -7.120 eV/atom

***

(2)
Li2Fe2Si8O19: relaxed, PBE+U.

a = 7.2124 Å, b = 7.2124 Å, c = 12.5439 Å
α = 72.78°, β = 72.78°, γ = 40.28°
Last column: nearest neighbours and their distance in Å.
Fractional positions:
Li 0.2372 0.5629 0.6388  3 O 2.07-2.16
Li 0.4371 0.7628 0.3612  3 O 2.07-2.16
Fe 0.3111 0.2915 0.4027  4 O 2.01-2.07
Fe 0.7085 0.6889 0.5973  4 O 2.01-2.07
Si 0.5364 0.2223 0.9275  4 O 1.62-1.64
Si 0.1355 0.8473 0.1692  4 O 1.62-1.64
Si 0.9159 0.9503 0.4192  4 O 1.60-1.68
Si 0.6726 0.7669 0.8315  4 O 1.62-1.66
Si 0.2331 0.3274 0.1685  4 O 1.62-1.66
Si 0.0497 0.0841 0.5808  4 O 1.60-1.68
Si 0.1527 0.8645 0.8308  4 O 1.62-1.64
Si 0.7777 0.4636 0.0725  4 O 1.62-1.64
O 0.8339 0.1322 0.8916  2 Si 1.63-1.64
O 0.2643 0.5693 0.8980  2 Si 1.62
O 0.1228 0.8782 0.2966  2 Si 1.64-1.67
O 0.5947 0.2729 0.4173  1 Si 1.60
O 0.5503 0.0616 0.8525  2 Si 1.63-1.64
O 0.9430 0.6950 0.4567  1 Si 1.63
O 0.8753 0.6571 0.7131  1 Si 1.62
O 0.1377 0.6191 0.1729  2 Si 1.62-1.66
O 0.8456 0.5201 0.9383  2 Si 1.63-1.65
O 0.4799 0.1544 0.0617  2 Si 1.63-1.65
O 0.3809 0.8623 0.8271  2 Si 1.62-1.66
O 0.3429 0.1247 0.2869  1 Si 1.62
O 0.3050 0.0570 0.5433  1 Si 1.63
O 0.9384 0.4497 0.1475  2 Si 1.63-1.64
O 0.7271 0.4053 0.5827  1 Si 1.60
O 0.1218 0.8772 0.7034  2 Si 1.64-1.67
O 0.1095 0.8905 0.5000  2 Si 1.68
O 0.4307 0.7357 0.1020  2 Si 1.62
O 0.8678 0.1661 0.1084  2 Si 1.63-1.64

Computed properties:
Energy above the lowest structure with this stoichiometry = 0.0 kJ per mole of atoms
E_form = -2913 meV/atom
Total energy = -7.449 eV/atom

***

(3)
LiFeSiO4: relaxed, PBE+U.

a = 5.7325 Å, b = 5.7324 Å, c = 8.0638 Å
α = 90.00°, β = 90.00°, γ = 90.00°
Last column: nearest neighbours and their distance in Å.
Fractional positions:
Li 0.0000 0.2208 0.0000  6 O 2.02-2.21
Li 0.0000 0.7792 0.5000  6 O 2.02-2.21
Li 0.2208 0.0000 0.2500  6 O 2.02-2.21
Li 0.7792 0.0000 0.7500  6 O 2.02-2.21
Fe 0.5000 0.7745 0.5001  6 O 1.97-2.12
Fe 0.7745 0.5001 0.7500  6 O 1.97-2.12
Fe 0.2254 0.4999 0.2500  6 O 1.97-2.12
Fe 0.5000 0.2254 0.0000  6 O 1.97-2.12
Si 0.2564 0.2564 0.6250  4 O 1.65-1.69
Si 0.2565 0.7436 0.8750  4 O 1.65-1.69
Si 0.7435 0.2565 0.3750  4 O 1.65-1.69
Si 0.7436 0.7436 0.1250  4 O 1.65-1.69
O 0.9825 0.2584 0.2605  1 Si 1.65
O 0.9825 0.7416 0.2395  1 Si 1.65
O 0.2584 0.9826 0.9895  1 Si 1.65
O 0.2584 0.0175 0.5105  1 Si 1.65
O 0.7416 0.0175 0.4895  1 Si 1.65
O 0.7416 0.9825 0.0105  1 Si 1.65
O 0.0175 0.2584 0.7395  1 Si 1.65
O 0.0175 0.7416 0.7605  1 Si 1.65
O 0.2593 0.4949 0.5013  1 Si 1.69
O 0.2593 0.5052 0.9987  1 Si 1.69
O 0.5052 0.2593 0.2513  1 Si 1.69
O 0.5051 0.7406 0.2487  1 Si 1.69
O 0.4949 0.2594 0.7487  1 Si 1.69
O 0.4948 0.7407 0.7513  1 Si 1.69
O 0.7407 0.4948 0.4987  1 Si 1.69
O 0.7406 0.5051 0.0013  1 Si 1.69

Computed properties:
Energy above the lowest structure with this stoichiometry = 5.5 kJ per mole of atoms
E_form = -2480 meV/atom
Total energy = -6.851 eV/atom

***

(4)
LiFeSiO4: relaxed, PBE+U.

a = 10.3473 Å, b = 10.3473 Å, c = 17.2929 Å
α = 69.99°, β = 69.99°, γ = 57.38°
Last column: nearest neighbours and their distance in Å.
Fractional positions:
Li 0.3718 0.4248 0.1847  4 O 1.99-2.10
Li 0.9228 0.3575 0.6880  4 O 1.99-2.21
Li 0.1867 0.2788 0.4339  4 O 1.98-2.21
Li 0.6105 0.7759 0.4369  4 O 1.97-2.16
Li 0.2778 0.6872 0.9342  4 O 1.98-2.19
Li 0.7764 0.1105 0.9369  4 O 1.97-2.15
Li 0.8816 0.4978 0.1868  4 O 2.02-2.20
Li 0.3575 0.9228 0.1880  4 O 1.99-2.21
Li 0.9996 0.8702 0.6880  4 O 2.04-2.26
Li 0.4248 0.3718 0.6847  4 O 1.99-2.10
Li 0.6872 0.2778 0.4342  4 O 1.98-2.19
Li 0.1105 0.7764 0.4369  4 O 1.97-2.15
Li 0.2788 0.1867 0.9339  4 O 1.98-2.21
Li 0.7759 0.6105 0.9369  4 O 1.97-2.16
Li 0.8702 0.9996 0.1880  4 O 2.04-2.26
Li 0.4978 0.8816 0.6868  4 O 2.02-2.20
Fe 0.0533 0.6979 0.1217  4 O 1.89-1.91
Fe 0.5501 0.1251 0.1213  4 O 1.88-1.92
Fe 0.1986 0.0466 0.6189  4 O 1.89-1.90
Fe 0.6238 0.5590 0.6258  4 O 1.89-1.91
Fe 0.8802 0.4413 0.3770  4 O 1.88-1.90
Fe 0.3120 0.9395 0.3764  4 O 1.88-1.90
Fe 0.4413 0.3788 0.8756  4 O 1.88-1.90
Fe 0.9412 0.8113 0.8779  4 O 1.88-1.91
Fe 0.0466 0.1986 0.1189  4 O 1.89-1.90
Fe 0.5590 0.6238 0.1258  4 O 1.89-1.91
Fe 0.6979 0.0533 0.6217  4 O 1.89-1.91
Fe 0.1251 0.5501 0.6213  4 O 1.88-1.92
Fe 0.3788 0.4413 0.3756  4 O 1.88-1.90
Fe 0.8113 0.9412 0.3779  4 O 1.88-1.91
Fe 0.4413 0.8802 0.8770  4 O 1.88-1.90
Fe 0.9395 0.3120 0.8764  4 O 1.88-1.90
Si 0.5007 0.1268 0.3131  4 O 1.65
Si 0.6266 0.5726 0.8111  4 O 1.65-1.66
Si 0.1293 0.0002 0.8124  4 O 1.65-1.66
Si 0.2283 0.3922 0.0604  4 O 1.64-1.65
Si 0.7333 0.8114 0.0634  4 O 1.65-1.66
Si 0.8893 0.2325 0.5617  4 O 1.64-1.66
Si 0.3136 0.7298 0.5624  4 O 1.64-1.65
Si 0.5726 0.6266 0.3111  4 O 1.65-1.66
Si 0.0002 0.1293 0.3124  4 O 1.65-1.66
Si 0.6324 0.0726 0.8098  4 O 1.65-1.66
Si 0.1268 0.5007 0.8131  4 O 1.65
Si 0.2325 0.8893 0.0617  4 O 1.64-1.66
Si 0.7298 0.3136 0.0624  4 O 1.64-1.65
Si 0.3922 0.2283 0.5604  4 O 1.64-1.65
Si 0.8114 0.7333 0.5634  4 O 1.65-1.66
Si 0.0726 0.6324 0.3098  4 O 1.65-1.66
O 0.6009 0.0013 0.3874  1 Si 1.65
O 0.6926 0.1944 0.0409  1 Si 1.65
O 0.1481 0.5790 0.2177  1 Si 1.65
O 0.6124 0.0724 0.2233  1 Si 1.65
O 0.1881 0.5774 0.0367  1 Si 1.65
O 0.3470 0.2970 0.1280  1 Si 1.65
O 0.0249 0.4984 0.3772  1 Si 1.66
O 0.0018 0.1009 0.8863  1 Si 1.65
O 0.6915 0.6982 0.5406  1 Si 1.66
O 0.5749 0.6483 0.7185  1 Si 1.65
O 0.0712 0.1081 0.7226  1 Si 1.66
O 0.8560 0.7187 0.1290  1 Si 1.66
O 0.0740 0.1945 0.5378  1 Si 1.66
O 0.3343 0.1210 0.3430  1 Si 1.65
O 0.7913 0.3522 0.6291  1 Si 1.66
O 0.5639 0.9462 0.1055  1 Si 1.65
O 0.4922 0.5262 0.8785  1 Si 1.66
O 0.6989 0.6285 0.3480  1 Si 1.65
O 0.2157 0.8508 0.6286  1 Si 1.65
O 0.3929 0.8122 0.4751  1 Si 1.64
O 0.1239 0.8331 0.8430  1 Si 1.65
O 0.9552 0.3144 0.2980  1 Si 1.65
O 0.4252 0.8053 0.2974  1 Si 1.65
O 0.8180 0.3179 0.4756  1 Si 1.64
O 0.0655 0.3790 0.1024  1 Si 1.65
O 0.4511 0.5655 0.6063  1 Si 1.65
O 0.6313 0.1983 0.8491  1 Si 1.65
O 0.8125 0.8934 0.9757  1 Si 1.65
O 0.1009 0.0018 0.3863  1 Si 1.65
O 0.6982 0.6915 0.0406  1 Si 1.66
O 0.6483 0.5749 0.2185  1 Si 1.65
O 0.1081 0.0712 0.2226  1 Si 1.66
O 0.8138 0.9280 0.7951  1 Si 1.65
O 0.3133 0.4504 0.7980  1 Si 1.65
O 0.8820 0.0666 0.6022  1 Si 1.65
O 0.3162 0.3191 0.9748  1 Si 1.64
O 0.1945 0.0740 0.0378  1 Si 1.66
O 0.3522 0.7913 0.1291  1 Si 1.66
O 0.0013 0.6009 0.8874  1 Si 1.65
O 0.5262 0.4922 0.3785  1 Si 1.66
O 0.1944 0.6926 0.5409  1 Si 1.65
O 0.5790 0.1481 0.7177  1 Si 1.65
O 0.0724 0.6124 0.7233  1 Si 1.65
O 0.8508 0.2157 0.1286  1 Si 1.65
O 0.8331 0.1239 0.3430  1 Si 1.65
O 0.5774 0.1881 0.5367  1 Si 1.65
O 0.5655 0.4511 0.1063  1 Si 1.65
O 0.2970 0.3470 0.6280  1 Si 1.65
O 0.4984 0.0249 0.8772  1 Si 1.66
O 0.1983 0.6313 0.3491  1 Si 1.65
O 0.7187 0.8560 0.6290  1 Si 1.66
O 0.8934 0.8125 0.4757  1 Si 1.65
O 0.1210 0.3343 0.8430  1 Si 1.65
O 0.9280 0.8138 0.2951  1 Si 1.65
O 0.4504 0.3133 0.2980  1 Si 1.65
O 0.0666 0.8820 0.1022  1 Si 1.65
O 0.3191 0.3162 0.4748  1 Si 1.64
O 0.9462 0.5639 0.6055  1 Si 1.65
O 0.6285 0.6989 0.8480  1 Si 1.65
O 0.8122 0.3929 0.9751  1 Si 1.64
O 0.3144 0.9552 0.7980  1 Si 1.65
O 0.8053 0.4252 0.7974  1 Si 1.65
O 0.3179 0.8180 0.9756  1 Si 1.64
O 0.3790 0.0655 0.6024  1 Si 1.65

Computed properties:
Energy above the lowest structure with this stoichiometry = 69.5 kJ per mole of atoms
E_form = -1816 meV/atom
Total energy = -6.187 eV/atom

***

(5)
LiFeSiO4: relaxed, PBE+U.

a = 8.6737 Å, b = 8.6737 Å, c = 8.6737 Å
α = 107.98°, β = 107.98°, γ = 107.98°
Last column: nearest neighbours and their distance in Å.
Fractional positions:
Li 0.8730 0.0868 0.2585  4 O 1.87-2.10
Li 0.7415 0.1270 0.9132  4 O 1.87-2.10
Li 0.9132 0.7415 0.1270  4 O 1.87-2.10
Li 0.0868 0.2585 0.8730  4 O 1.87-2.10
Li 0.2585 0.8730 0.0868  4 O 1.87-2.10
Li 0.1270 0.9132 0.7415  4 O 1.87-2.10
Fe 0.6065 0.1920 0.4258  4 O 1.86-1.98
Fe 0.8080 0.5742 0.3935  4 O 1.86-1.98
Fe 0.5742 0.3935 0.8080  4 O 1.86-1.98
Fe 0.4258 0.6065 0.1920  4 O 1.86-1.98
Fe 0.1920 0.4258 0.6065  4 O 1.86-1.98
Fe 0.3935 0.8080 0.5742  4 O 1.86-1.98
Si 0.9480 0.5399 0.7708  4 O 1.58-1.72
Si 0.4601 0.2292 0.0520  4 O 1.58-1.72
Si 0.2292 0.0520 0.4601  4 O 1.58-1.72
Si 0.7708 0.9480 0.5399  4 O 1.58-1.72
Si 0.5399 0.7708 0.9480  4 O 1.58-1.72
Si 0.0520 0.4601 0.2292  4 O 1.58-1.72
O 0.6808 0.9737 0.0193  1 Si 1.58
O 0.9807 0.3192 0.0263  1 Si 1.58
O 0.7425 0.0634 0.4212  1 Si 1.66, 1 Fe 1.86
O 0.5788 0.2575 0.9366  1 Si 1.66, 1 Fe 1.86
O 0.3670 0.0483 0.3626  1 Si 1.67, 1 Fe 1.86
O 0.7243 0.3859 0.6773  1 Si 1.72
O 0.9366 0.5788 0.2575  1 Si 1.66, 1 Fe 1.86
O 0.6141 0.3227 0.2757  1 Si 1.72
O 0.9517 0.6374 0.6330  1 Si 1.67, 1 Fe 1.86
O 0.6374 0.6330 0.9517  1 Si 1.67, 1 Fe 1.86
O 0.3227 0.2757 0.6141  1 Si 1.72
O 0.0263 0.9807 0.3192  1 Si 1.58
O 0.9737 0.0193 0.6808  1 Si 1.58
O 0.6773 0.7243 0.3859  1 Si 1.72
O 0.3626 0.3670 0.0483  1 Si 1.67, 1 Fe 1.86
O 0.0483 0.3626 0.3670  1 Si 1.67, 1 Fe 1.86
O 0.3859 0.6773 0.7243  1 Si 1.72
O 0.0634 0.4212 0.7425  1 Si 1.66, 1 Fe 1.86
O 0.2757 0.6141 0.3227  1 Si 1.72
O 0.6330 0.9517 0.6374  1 Si 1.67, 1 Fe 1.86
O 0.4212 0.7425 0.0634  1 Si 1.66, 1 Fe 1.86
O 0.2575 0.9366 0.5788  1 Si 1.66, 1 Fe 1.86
O 0.0193 0.6808 0.9737  1 Si 1.58
O 0.3192 0.0263 0.9807  1 Si 1.58

Computed properties:
Energy above the lowest structure with this stoichiometry = 7.6 kJ per mole of atoms
E_form = -2458 meV/atom
Total energy = -6.828 eV/atom

***

(6)
LiFeSiO4: relaxed, PBE+U.

a = 5.1062 Å, b = 8.5256 Å, c = 10.5110 Å
α = 52.05°, β = 90.00°, γ = 90.00°
Last column: nearest neighbours and their distance in Å.
Fractional positions:
Li 0.9294 0.9952 0.1569  4 O 2.01-2.09
Li 0.0706 0.9952 0.6569  4 O 2.01-2.09
Li 0.5553 0.5007 0.0998  4 O 2.02-2.10
Li 0.4447 0.5007 0.5998  4 O 2.02-2.10
Fe 0.5679 0.0034 0.8395  4 O 1.90-1.91
Fe 0.4321 0.0034 0.3395  4 O 1.90-1.91
Fe 0.9340 0.5015 0.9045  4 O 1.90-1.91
Fe 0.0660 0.5015 0.4045  4 O 1.90-1.91
Si 0.9314 0.7507 0.5304  4 O 1.64-1.65
Si 0.0686 0.7507 0.0304  4 O 1.64-1.65
Si 0.5679 0.2493 0.4692  4 O 1.65
Si 0.4321 0.2493 0.9692  4 O 1.65
O 0.5668 0.4503 0.9303  1 Si 1.65
O 0.4332 0.4503 0.4303  1 Si 1.65
O 0.9593 0.5508 0.0571  1 Si 1.64
O 0.0407 0.5508 0.5571  1 Si 1.64
O 0.8871 0.2615 0.4839  1 Si 1.65
O 0.1129 0.2615 0.9839  1 Si 1.65
O 0.6116 0.7663 0.5039  1 Si 1.65
O 0.3884 0.7663 0.0039  1 Si 1.65
O 0.0674 0.9464 0.3656  1 Si 1.65
O 0.9326 0.9464 0.8656  1 Si 1.65
O 0.4539 0.0546 0.6441  1 Si 1.65
O 0.5461 0.0546 0.1441  1 Si 1.65
O 0.9930 0.7346 0.1907  1 Si 1.65
O 0.0070 0.7346 0.6907  1 Si 1.65
O 0.5042 0.2346 0.8242  1 Si 1.65
O 0.4958 0.2346 0.3242  1 Si 1.65

Computed properties:
Energy above the lowest structure with this stoichiometry = 2.1 kJ per mole of atoms
E_form = -2515 meV/atom
Total energy = -6.886 eV/atom

***

(7)
LiFeSiO4: relaxed, PBE+U.

a = 5.6619 Å, b = 5.0546 Å, c = 7.8754 Å
α = 50.75°, β = 90.00°, γ = 90.00°
Last column: nearest neighbours and their distance in Å.
Fractional positions:
Li 0.1626 0.7605 0.2502  4 O 1.96-2.03
Li 0.8374 0.7605 0.7502  4 O 1.96-2.03
Fe 0.6607 0.0087 0.0017  4 O 1.90-1.93
Fe 0.3393 0.0087 0.5017  4 O 1.90-1.93
Si 0.6651 0.5076 0.4986  4 O 1.65-1.66
Si 0.3349 0.5076 0.9986  4 O 1.65-1.66
O 0.3989 0.6615 0.4779  1 Si 1.66
O 0.7907 0.3947 0.7257  1 Si 1.66
O 0.8211 0.7959 0.2763  1 Si 1.66
O 0.3638 0.1632 0.0190  1 Si 1.65
O 0.6011 0.6615 0.9779  1 Si 1.66
O 0.1789 0.7959 0.7763  1 Si 1.66
O 0.2093 0.3947 0.2257  1 Si 1.66
O 0.6362 0.1632 0.5190  1 Si 1.65

Computed properties:
Energy above the lowest structure with this stoichiometry = 5.8 kJ per mole of atoms
E_form = -2477 meV/atom
Total energy = -6.847 eV/atom

***

(8)
LiFeSnO4: relaxed, PBE+U.

a = 3.1158 Å, b = 5.1856 Å, c = 9.9161 Å
α = 90.00°, β = 90.00°, γ = 90.00°
Last column: nearest neighbours and their distance in Å.
Fractional positions:
Li 0.5000 0.2208 0.9415  3 O 1.90-2.08
Li 0.5000 0.7792 0.4415  3 O 1.90-2.08
Fe 0.5000 0.2440 0.3508  6 O 2.00-2.16
Fe 0.5000 0.7560 0.8508  6 O 2.00-2.16
Sn 0.0000 0.2695 0.6342  6 O 2.07-2.11
Sn 0.0000 0.7305 0.1342  6 O 2.07-2.11
O 0.0000 0.0421 0.4579  2 Li 2.08, 1 Sn 2.11, 2 Fe 2.16
O 0.0000 0.4502 0.2836  2 Fe 2.00, 1 Sn 2.07
O 0.0000 0.9579 0.9579  2 Li 2.08, 1 Sn 2.11, 2 Fe 2.16
O 0.0000 0.5498 0.7836  2 Fe 2.00, 1 Sn 2.07
O 0.5000 0.4556 0.5317  1 Li 1.90, 2 Sn 2.10, 1 Fe 2.10
O 0.5000 0.9319 0.2294  1 Fe 2.02, 2 Sn 2.10, 1 Li 2.25
O 0.5000 0.0681 0.7294  1 Fe 2.02, 2 Sn 2.10, 1 Li 2.25
O 0.5000 0.5444 0.0318  1 Li 1.90, 2 Sn 2.10, 1 Fe 2.10

Computed properties:
Energy above the lowest structure with this stoichiometry = 1.4 kJ per mole of atoms
E_form = -1998 meV/atom
Total energy = -6.166 eV/atom